! Ba2La2MgTi3O12 (PBE-GGA, relaxed); values from VASP
! size of the total moment = 0.00 μB per formula unit
! total DFT energy (no corrections) = -8.07 eV per atom
&SYSTEM
  ibrav = 0, nat = 60, ntyp = 5
/
ATOMIC_SPECIES
Ba 137.33 Ba.upf
La 138.91 La.upf
Mg 24.30 Mg.upf
Ti 47.87 Ti.upf
O 16.00 O.upf
ATOMIC_POSITIONS angstrom
Ba 5.6713 0.0199 10.2920
Ba 2.8353 4.9392 17.2967
Ba 2.8364 1.6534 7.9725
Ba 2.8431 1.6623 14.9637
Ba 5.6634 3.2968 12.6251
Ba 5.6702 3.3057 19.6163
La 0.0539 0.0493 24.1697
La 2.8348 1.6856 21.9129
La 2.8252 1.6381 1.1353
La 5.6814 3.3210 26.4534
La 5.6718 3.2735 5.6758
La 8.4527 4.9098 3.4190
Mg 0.0000 0.0000 0.0000
Mg 2.8468 1.6512 4.5142
Mg 5.6597 3.3079 23.0745
Ti 0.0123 0.0230 13.7944
Ti 2.8780 4.9421 20.8643
Ti 2.8264 1.6585 18.4889
Ti 2.8320 1.6623 11.4526
Ti 2.8644 1.6791 25.3283
Ti 5.6422 3.2800 2.2604
Ti 5.6746 3.2968 16.1362
Ti 5.6802 3.3006 9.0998
Ti 5.6285 0.0170 6.7245
O 1.4325 2.4665 10.2923
O 1.7078 2.6932 3.1131
O 1.1178 0.9961 5.5006
O 1.4090 0.8974 19.5913
O 1.4055 0.8480 12.6190
O 2.8369 3.2965 12.6244
O 2.8428 3.2796 26.4341
O 2.9005 3.3761 5.6139
O 2.8374 3.2599 19.6925
O 1.8374 0.6738 26.7017
O 3.9198 3.8460 1.4541
O 4.4161 4.3991 21.8361
O 4.2681 4.1305 14.9558
O 4.3493 4.0945 7.8254
O 3.8487 2.6747 23.9293
O 2.8260 0.0175 10.2801
O 4.2508 2.4896 17.3081
O 2.8773 0.0795 24.2120
O 5.6293 4.8796 3.3768
O 4.2558 2.4695 10.2806
O 5.6805 4.9416 17.3087
O 4.6579 2.2844 3.6595
O 4.1573 0.8645 19.7633
O 4.2384 0.8285 12.6329
O 4.0905 0.5600 5.7527
O 4.5868 1.1131 26.1346
O 6.6692 4.2853 0.8870
O 5.6692 1.6992 7.8962
O 5.6061 1.5830 21.9748
O 5.6638 1.6795 1.1547
O 5.6697 1.6625 14.9644
O 7.1011 4.1111 14.9698
O 7.0976 4.0617 7.9974
O 7.3888 3.9630 22.0881
O 6.7988 2.2659 24.4757
O 7.0741 2.4926 17.2965
CELL_PARAMETERS angstrom
5.6609 0.0000 0.0000
2.8211 4.9131 0.0000
0.0246 0.0460 27.5887

! LiSb3TeClO6 (PBE-GGA, relaxed); values from VASP
! size of the total moment = 1.00 μB per formula unit
! total DFT energy (no corrections) = -5.22 eV per atom
&SYSTEM
  ibrav = 0, nat = 12, ntyp = 5
/
ATOMIC_SPECIES
Li 6.94 Li.upf
Sb 121.76 Sb.upf
Te 127.60 Te.upf
Cl 35.45 Cl.upf
O 16.00 O.upf
ATOMIC_POSITIONS angstrom
Li 0.0000 0.0000 0.0000
Sb 1.5936 0.0000 2.4807
Sb -1.5020 0.0000 7.5285
Sb 4.9673 0.0000 5.1838
Te 6.6208 0.0000 2.1010
Cl 11.7525 0.0000 2.3056
O -0.4998 0.0000 1.9369
O -2.4991 0.0000 5.7667
O 1.8112 0.0000 0.4890
O 6.6770 0.0000 4.1528
O 8.6034 0.0000 2.3530
O 5.9165 0.0000 6.9856
CELL_PARAMETERS angstrom
7.7666 -2.0910 0.0000
7.7666 2.0910 0.0000
-5.0298 0.0000 8.0922

! ScBIr3 (PBE-GGA, relaxed); values from VASP
! total DFT energy (no corrections) = -8.56 eV per atom
&SYSTEM
  ibrav = 0, nat = 5, ntyp = 3
/
ATOMIC_SPECIES
Sc 44.96 Sc.upf
B 10.81 B.upf
Ir 192.22 Ir.upf
ATOMIC_POSITIONS angstrom
Sc 0.0000 0.0000 0.0000
B 2.0750 2.0750 2.0750
Ir 0.0000 2.0750 2.0750
Ir 2.0750 0.0000 2.0750
Ir 2.0750 2.0750 0.0000
CELL_PARAMETERS angstrom
4.1501 0.0000 0.0000
0.0000 4.1501 0.0000
0.0000 0.0000 4.1501

! Zr2TiPb3O9 (PBE-GGA, relaxed); values from VASP
! size of the total moment = 0.01 μB per formula unit
! total DFT energy (no corrections) = -7.76 eV per atom
&SYSTEM
  ibrav = 0, nat = 15, ntyp = 4
/
ATOMIC_SPECIES
Zr 91.22 Zr.upf
Ti 47.87 Ti.upf
Pb 207.20 Pb.upf
O 16.00 O.upf
ATOMIC_POSITIONS angstrom
Zr 0.0000 0.0000 0.0000
Zr -0.0671 0.0000 4.2379
Ti 5.7313 0.0000 8.2991
Pb 2.5026 0.0000 10.4369
Pb 2.6623 0.0000 2.3084
Pb 2.5959 0.0000 6.5517
O 1.5947 1.4916 8.1893
O 0.1979 0.0000 2.0441
O 1.6056 1.4066 4.0393
O 1.4602 1.4026 12.2052
O 0.0760 0.0000 10.1499
O 0.1659 0.0000 6.3038
O 1.4602 -1.4026 12.2052
O 1.6056 -1.4066 4.0393
O 1.5947 -1.4916 8.1893
CELL_PARAMETERS angstrom
3.0075 -2.9527 0.0000
3.0075 2.9527 0.0000
-0.2154 0.0000 12.3863

! LiGeN (PBE-GGA, relaxed); values from VASP
! size of the total moment = 0.00 μB per formula unit
! total DFT energy (no corrections) = -5.26 eV per atom
&SYSTEM
  ibrav = 0, nat = 6, ntyp = 3
/
ATOMIC_SPECIES
Li 6.94 Li.upf
Ge 72.64 Ge.upf
N 14.01 N.upf
ATOMIC_POSITIONS angstrom
Li 0.0000 1.7392 0.0000
Li 1.5062 0.8696 4.7097
Ge 0.0000 0.0000 2.3985
Ge 0.0000 0.0000 7.1082
N 0.0000 1.7392 3.3894
N 1.5062 0.8696 8.0991
CELL_PARAMETERS angstrom
3.0124 0.0000 0.0000
-1.5062 2.6088 0.0000
0.0000 0.0000 9.4195

! Mg6TiBiO8 (PBE-GGA, relaxed); values from VASP
! size of the total moment = 2.71 μB per formula unit
! total DFT energy (no corrections) = -5.90 eV per atom
&SYSTEM
  ibrav = 0, nat = 16, ntyp = 4
/
ATOMIC_SPECIES
Mg 24.30 Mg.upf
Ti 47.87 Ti.upf
Bi 208.98 Bi.upf
O 16.00 O.upf
ATOMIC_POSITIONS angstrom
Mg 0.0000 0.0000 0.0000
Mg 0.0000 2.2551 2.0927
Mg 0.0000 2.2551 6.8596
Mg 2.2551 0.0000 2.0927
Mg 2.2551 0.0000 6.8596
Mg 2.2551 2.2551 0.0000
Ti 0.0000 0.0000 4.4762
Bi 2.2551 2.2551 4.4762
O 0.0000 0.0000 2.1435
O 0.0000 0.0000 6.8088
O 0.0000 2.2551 0.0000
O 0.0000 2.2551 4.4762
O 2.2551 0.0000 0.0000
O 2.2551 0.0000 4.4762
O 2.2551 2.2551 2.0203
O 2.2551 2.2551 6.9320
CELL_PARAMETERS angstrom
4.5102 0.0000 0.0000
0.0000 4.5102 0.0000
0.0000 0.0000 8.9523

! PrB2ClO4 (PBE-GGA, relaxed); values from VASP
! total DFT energy (no corrections) = -7.65 eV per atom
&SYSTEM
  ibrav = 0, nat = 16, ntyp = 4
/
ATOMIC_SPECIES
Pr 140.91 Pr.upf
B 10.81 B.upf
Cl 35.45 Cl.upf
O 16.00 O.upf
ATOMIC_POSITIONS angstrom
Pr 0.9794 0.4656 1.7984
Pr 5.4317 6.9608 6.3078
B 1.5408 3.1564 6.9009
B 2.7552 2.9768 1.5863
B 3.6560 4.4496 6.5199
B 4.8703 4.2700 1.2053
Cl 1.1003 1.8720 4.4036
Cl 5.3108 5.5544 3.7026
O 1.3693 3.1261 1.4518
O 1.1283 2.0052 7.4687
O 3.2262 5.7043 6.3981
O 2.9148 3.2668 6.6098
O 3.4964 4.1596 1.4964
O 3.1849 1.7221 1.7081
O 5.2828 5.4212 0.6375
O 5.0419 4.3003 6.6544
CELL_PARAMETERS angstrom
4.2515 0.0000 0.0000
2.0200 6.2933 0.0000
0.1396 1.1332 8.1062

! SiO2 (PBE-GGA, relaxed); values from VASP
! size of the total moment = 0.00 μB per formula unit
! total DFT energy (no corrections) = -7.90 eV per atom
&SYSTEM
  ibrav = 0, nat = 96, ntyp = 2
/
ATOMIC_SPECIES
Si 28.09 Si.upf
O 16.00 O.upf
ATOMIC_POSITIONS angstrom
Si 0.4779 2.0052 0.5191
Si 0.4779 5.0941 0.5191
Si 0.7684 0.3784 13.9704
Si 0.7684 6.7209 13.9704
Si 0.9587 0.4315 4.4794
Si 0.9587 6.6677 4.4794
Si 1.4896 9.1133 10.5831
Si 1.4896 12.1846 10.5831
Si 2.7700 2.0140 2.5581
Si 2.7700 5.0853 2.5581
Si 3.3009 7.5308 12.5043
Si 3.3009 13.7670 12.5043
Si 3.4912 7.4776 5.9454
Si 3.4912 13.8202 5.9454
Si 3.7817 9.1045 8.5441
Si 3.7817 12.1934 8.5441
Si 4.7375 2.0052 7.5058
Si 4.7375 5.0941 7.5058
Si 5.0280 0.3784 10.1044
Si 5.0280 6.7209 10.1044
Si 5.2183 0.4315 3.5456
Si 5.2183 6.6677 3.5456
Si 5.7492 9.1133 13.4917
Si 5.7492 12.1846 13.4917
Si 7.0296 2.0140 5.4668
Si 7.0296 5.0853 5.4668
Si 7.5605 7.5308 11.5705
Si 7.5605 13.7670 11.5705
Si 7.7508 7.4776 2.0795
Si 7.7508 13.8202 2.0795
Si 8.0413 9.1045 15.5307
Si 8.0413 12.1934 15.5307
O 0.0107 10.6489 15.3763
O 0.2047 8.1209 10.5981
O 0.2047 13.1770 10.5981
O 0.3070 7.5961 3.3035
O 0.3070 13.7018 3.3035
O 0.5181 1.6144 14.9914
O 0.5181 5.4849 14.9914
O 0.5876 8.1549 14.7414
O 0.5876 13.1430 14.7414
O 0.9819 10.6489 10.7266
O 1.7744 1.6810 3.8111
O 1.7744 5.4183 3.8111
O 1.9735 1.8064 1.1494
O 1.9735 5.2929 1.1494
O 1.9722 7.5760 5.3664
O 1.9722 13.7219 5.3664
O 2.2874 0.4767 13.3913
O 2.2874 6.6226 13.3913
O 2.2861 8.9056 9.1744
O 2.2861 12.3922 9.1744
O 2.4852 8.7803 11.8360
O 2.4852 12.5176 11.8360
O 3.2777 3.5496 2.7017
O 3.6720 1.0556 6.7165
O 3.6720 6.0437 6.7165
O 3.7415 8.7137 6.9664
O 3.7415 12.5842 6.9664
O 3.9526 0.4968 11.3284
O 3.9526 6.6025 11.3284
O 4.0549 1.0216 2.5731
O 4.0549 6.0777 2.5731
O 4.2489 3.5496 7.3514
O 4.2703 10.6489 8.6985
O 4.4643 8.1209 13.4767
O 4.4643 13.1770 13.4767
O 4.5666 7.5961 4.7215
O 4.5666 13.7018 4.7215
O 4.7777 1.6144 9.0834
O 4.7777 5.4849 9.0834
O 4.8472 8.1549 9.3334
O 4.8472 13.1430 9.3334
O 5.2415 10.6489 13.3482
O 6.0340 1.6810 4.2139
O 6.0340 5.4183 4.2139
O 6.2331 1.8064 6.8755
O 6.2331 5.2929 6.8755
O 6.2318 7.5760 2.6585
O 6.2318 13.7219 2.6585
O 6.5470 0.4767 10.6835
O 6.5470 6.6226 10.6835
O 6.5457 8.9056 14.9004
O 6.5457 12.3922 14.9004
O 6.7448 8.7803 12.2388
O 6.7448 12.5176 12.2388
O 7.5373 3.5496 5.3232
O 7.9316 1.0556 1.3084
O 7.9316 6.0437 1.3084
O 8.0011 8.7137 1.0585
O 8.0011 12.5842 1.0585
O 8.2122 0.4968 12.7464
O 8.2122 6.6025 12.7464
O 8.3145 1.0216 5.4518
O 8.3145 6.0777 5.4518
O 8.5084 3.5496 0.6735
CELL_PARAMETERS angstrom
8.5192 0.0000 0.0000
0.0000 14.1986 0.0000
0.0000 0.0000 16.0499

! PrNi2Bi2 (PBE-GGA, relaxed); values from VASP
! size of the total moment = 0.09 μB per formula unit
! total DFT energy (no corrections) = -5.16 eV per atom
&SYSTEM
  ibrav = 0, nat = 10, ntyp = 3
/
ATOMIC_SPECIES
Pr 140.91 Pr.upf
Ni 58.69 Ni.upf
Bi 208.98 Bi.upf
ATOMIC_POSITIONS angstrom
Pr 1.1630 1.1630 2.3877
Pr 3.4890 3.4890 7.9617
Ni 1.1630 1.1630 6.4794
Ni 1.1630 3.4890 0.0000
Ni 3.4890 1.1630 0.0000
Ni 3.4890 3.4890 3.8700
Bi 1.1630 1.1630 9.0560
Bi 1.1630 3.4890 5.1747
Bi 3.4890 1.1630 5.1747
Bi 3.4890 3.4890 1.2934
CELL_PARAMETERS angstrom
4.6520 0.0000 0.0000
0.0000 4.6520 0.0000
0.0000 0.0000 10.3494

! Er2Co12Ni5 (PBE-GGA, relaxed); values from VASP
! size of the total moment = 19.99 μB per formula unit
! total DFT energy (no corrections) = -6.60 eV per atom
&SYSTEM
  ibrav = 0, nat = 38, ntyp = 3
/
ATOMIC_SPECIES
Er 167.26 Er.upf
Co 58.93 Co.upf
Ni 58.69 Ni.upf
ATOMIC_POSITIONS angstrom
Er 0.0000 0.0000 2.0121
Er 0.0000 0.0000 6.0364
Er 0.0000 4.7840 2.0121
Er 4.1431 2.3920 6.0364
Co -1.1520 2.6927 6.0364
Co -2.3871 4.8320 6.0364
Co 0.0000 2.3297 0.1950
Co 0.0000 2.3297 3.8292
Co -2.1255 6.0112 0.1950
Co -2.1255 6.0112 3.8292
Co 2.0175 1.1648 4.2193
Co 2.0175 1.1648 7.8535
Co 1.1520 2.6927 6.0364
Co -1.2351 6.8273 6.0364
Co 2.9080 0.3487 2.0121
Co 1.7560 2.3440 2.0121
Co 2.3871 4.8320 6.0364
Co 1.2351 6.8273 6.0364
Co 5.3782 0.3487 2.0121
Co 2.9911 4.4833 2.0121
Co 2.1255 6.0112 0.1950
Co 2.1255 6.0112 3.8292
Co 6.2686 1.1648 4.2193
Co 6.2686 1.1648 7.8535
Co 4.1431 4.8463 4.2193
Co 4.1431 4.8463 7.8535
Co 6.5302 2.3440 2.0121
Co 5.2950 4.4833 2.0121
Ni -2.0715 3.5880 0.0000
Ni -2.0715 3.5880 4.0243
Ni 0.0000 4.7840 4.8199
Ni 0.0000 4.7840 7.2529
Ni 4.1431 0.0000 0.0000
Ni 4.1431 0.0000 4.0243
Ni 2.0715 3.5880 0.0000
Ni 2.0715 3.5880 4.0243
Ni 4.1431 2.3920 0.7956
Ni 4.1431 2.3920 3.2286
CELL_PARAMETERS angstrom
8.2861 0.0000 0.0000
-4.1431 7.1760 0.0000
0.0000 0.0000 8.0485

! CeHfMg6O8 (PBE-GGA, relaxed); values from VASP
! size of the total moment = 1.30 μB per formula unit
! total DFT energy (no corrections) = -6.35 eV per atom
&SYSTEM
  ibrav = 0, nat = 16, ntyp = 4
/
ATOMIC_SPECIES
Ce 140.12 Ce.upf
Hf 178.49 Hf.upf
Mg 24.30 Mg.upf
O 16.00 O.upf
ATOMIC_POSITIONS angstrom
Ce 0.0000 0.0000 0.0000
Hf 0.0000 0.0000 4.5625
Mg 0.0000 2.2747 2.3756
Mg 0.0000 2.2747 6.7494
Mg 2.2747 0.0000 2.3756
Mg 2.2747 0.0000 6.7494
Mg 2.2747 2.2747 0.0000
Mg 2.2747 2.2747 4.5625
O 0.0000 0.0000 2.4089
O 0.0000 0.0000 6.7162
O 0.0000 2.2747 0.0000
O 0.0000 2.2747 4.5625
O 2.2747 0.0000 0.0000
O 2.2747 0.0000 4.5625
O 2.2747 2.2747 2.3088
O 2.2747 2.2747 6.8162
CELL_PARAMETERS angstrom
4.5494 0.0000 0.0000
0.0000 4.5494 0.0000
0.0000 0.0000 9.1250

! K2SnHgSe4 (PBE-GGA, relaxed); values from VASP
! size of the total moment = 0.00 μB per formula unit
! total DFT energy (no corrections) = -3.28 eV per atom
! maximum piezoelectric response = 0.179 C/m²
&SYSTEM
  ibrav = 0, nat = 8, ntyp = 4
/
ATOMIC_SPECIES
K 39.10 K.upf
Sn 118.71 Sn.upf
Hg 200.59 Hg.upf
Se 78.96 Se.upf
ATOMIC_POSITIONS angstrom
K 4.1188 0.0000 0.0000
K 0.0000 4.1188 0.0000
Sn 0.0000 0.0000 0.0000
Hg 0.0000 0.0000 3.5693
Se 1.4105 -1.4105 1.6461
Se -1.4105 1.4105 1.6461
Se 2.7084 2.7084 1.9231
Se 1.4105 1.4105 5.4924
CELL_PARAMETERS angstrom
-4.1188 4.1188 3.5693
4.1188 -4.1188 3.5693
4.1188 4.1188 -3.5693

! Sr5Mg19Ge12 (PBE-GGA, relaxed); values from VASP
! size of the total moment = 0.00 μB per formula unit
! total DFT energy (no corrections) = -3.01 eV per atom
&SYSTEM
  ibrav = 0, nat = 36, ntyp = 3
/
ATOMIC_SPECIES
Sr 87.62 Sr.upf
Mg 24.30 Mg.upf
Ge 72.64 Ge.upf
ATOMIC_POSITIONS angstrom
Sr -6.0092 10.4082 0.0000
Sr 1.3394 2.3200 0.0000
Sr 0.0000 8.4854 2.2158
Sr 7.3486 4.2427 2.2158
Sr 12.0184 0.0000 0.0000
Mg 0.0000 0.0000 2.2158
Mg -2.0603 3.5686 0.0000
Mg -3.2419 5.6151 2.2158
Mg -2.8915 8.1673 0.0000
Mg -0.1509 4.7584 2.2158
Mg -3.1522 10.4797 2.2158
Mg 4.1207 0.0000 0.0000
Mg 1.7213 6.1404 0.0000
Mg 4.1964 2.2485 2.2158
Mg 6.4838 0.0000 2.2158
Mg 4.4571 4.5609 0.0000
Mg 1.1702 11.1486 0.0000
Mg 4.1067 7.1130 2.2158
Mg 3.3031 10.2182 2.2158
Mg 8.5188 1.5795 0.0000
Mg 5.2883 9.1596 0.0000
Mg 7.1977 7.9697 2.2158
Mg 10.6518 2.5099 2.2158
Mg 9.0699 6.5878 0.0000
Ge -1.2824 2.2212 2.2158
Ge -4.6655 8.0809 2.2158
Ge -1.0717 6.1263 0.0000
Ge 2.5649 0.0000 2.2158
Ge -1.5072 10.5932 0.0000
Ge 2.6831 4.6473 2.2158
Ge 5.8414 2.1350 0.0000
Ge 2.5789 8.7369 0.0000
Ge 9.3310 0.0000 2.2158
Ge 6.2769 6.6018 0.0000
Ge 6.0662 10.5069 2.2158
Ge 9.9275 3.9913 0.0000
CELL_PARAMETERS angstrom
14.6972 0.0000 0.0000
-7.3486 12.7282 0.0000
0.0000 0.0000 4.4317